Entry from Materials Project: a relaxed Pm2MgS4 crystal (PBE-GGA).

As for the formation energy: -2.093 eV/atom. The calculation puts the offset from the most stable computed form at 41 meV/atom. Its space group is I-42d.

Cell and atoms, written as POSCAR:
```
Pm2MgS4
1.0
-4.158 4.158 4.377
4.158 -4.158 4.377
4.158 4.158 -4.377
Pm Mg S
4 2 8
direct
0.007 0.625 0.882
0.375 0.257 0.382
0.743 0.125 0.118
0.875 0.993 0.618
0.250 0.750 0.500
0.500 0.500 0.000
0.007 0.877 0.266
0.123 0.389 0.130
0.139 0.373 0.630
0.260 0.993 0.870
0.490 0.861 0.234
0.611 0.740 0.734
0.627 0.257 0.766
0.743 0.510 0.370
```